This record from the Materials Project describes a geometry-optimized K2NaMoBr6 structure. The functional is PBE.

- E (MP2020): -3.940 eV/atom
- Energy of formation: -1.519 eV per atom
- Final energy: -3.62 eV/atom

Unit cell a=10.9873 b=10.9873 c=10.9873 alpha=90.00 beta=90.00 gamma=90.00
With the nearest neighbours (Å) after each atom.
Space group Fm-3m (No. 225)
Asymmetric unit:
K 0.2500 0.2500 0.2500 x8  12 Br 3.89
Na 0.0000 0.0000 0.0000 x4  6 Br 2.89
Mo 0.0000 0.0000 0.5000 x4  6 Br 2.61
Br 0.0000 0.0000 0.2628 x24  1 Mo 2.61, 1 Na 2.89

=====

This record from the Materials Project describes a geometry-optimized K2NaPrBr6 structure. The functional is PBE.

- E (MP2020): -3.876 eV/atom
- Energy of formation: -2.061 eV per atom
- Final energy: -3.56 eV/atom

Unit cell a=11.5734 b=11.5734 c=11.5734 alpha=90.00 beta=90.00 gamma=90.00
With the nearest neighbours (Å) after each atom.
Space group Fm-3m (No. 225)
Asymmetric unit:
K 0.2500 0.2500 0.2500 x8  12 Br 4.09
Na 0.0000 0.0000 0.0000 x4  6 Br 2.89
Pr 0.0000 0.0000 0.5000 x4  6 Br 2.89
Br 0.0000 0.0000 0.2500 x24  1 Na 2.89, 1 Pr 2.89

=====

This record from the Materials Project describes a geometry-optimized K2NaScBr6 structure. The functional is PBE.

- E (MP2020): -3.988 eV/atom
- Energy of formation: -2.018 eV per atom
- Final energy: -3.67 eV/atom

Unit cell a=11.0886 b=11.0886 c=11.0886 alpha=90.00 beta=90.00 gamma=90.00
With the nearest neighbours (Å) after each atom.
Space group Fm-3m (No. 225)
Asymmetric unit:
K 0.2500 0.2500 0.2500 x8  12 Br 3.92
Na 0.0000 0.0000 0.0000 x4  6 Br 2.89
Sc 0.0000 0.0000 0.5000 x4  6 Br 2.65
Br 0.0000 0.0000 0.2609 x24  1 Sc 2.65, 1 Na 2.89

=====

This record from the Materials Project describes a geometry-optimized K2NaTlBr6 structure. The functional is PBE.

- E (MP2020): -3.064 eV/atom
- Energy of formation: -1.492 eV per atom
- Final energy: -2.74 eV/atom

Unit cell a=11.3400 b=11.3400 c=11.3400 alpha=90.00 beta=90.00 gamma=90.00
With the nearest neighbours (Å) after each atom.
Space group Fm-3m (No. 225)
Asymmetric unit:
K 0.2500 0.2500 0.2500 x8  12 Br 4.01
Na 0.0000 0.0000 0.0000 x4  6 Br 2.90
Tl 0.0000 0.0000 0.5000 x4  6 Br 2.77
Br 0.0000 0.0000 0.2554 x24  1 Tl 2.77, 1 Na 2.90

=====

This record from the Materials Project describes a geometry-optimized K2Nb3Br9 structure. The functional is PBE.

- E (MP2020): -4.880 eV/atom
- Energy of formation: -1.504 eV per atom
- Final energy: -4.54 eV/atom
- Energy above the lowest structure with this stoichiometry: 7 meV per atom

Unit cell a=10.3183 b=10.4202 c=10.4202 alpha=117.60 beta=102.46 gamma=102.46
With the nearest neighbours (Å) after each atom.
Space group P1 (No. 1)
Asymmetric unit:
K 0.0000 0.0000 0.0000 x1  4 Br 3.27-3.38
K 0.0014 0.3278 0.6838 x1  4 Br 3.24-3.38
K 0.6574 0.2187 0.2235 x1  4 Br 3.26-3.44
K 0.6624 0.5433 0.8968 x1  4 Br 3.25-3.33
Nb 0.1938 0.5557 0.4033 x1  5 Br 2.60-2.82
Nb 0.1977 0.7269 0.2442 x1  4 Br 2.62-2.69, 3 Nb 2.91-2.93
Nb 0.2032 0.8825 0.5638 x1  5 Br 2.62-2.84
Nb 0.4497 0.6608 0.3356 x1  4 Br 2.58-2.65
Nb 0.4584 0.9837 0.4921 x1  5 Br 2.62-2.92, 1 Nb 2.92
Nb 0.4632 0.8213 0.6689 x1  5 Br 2.61-2.89
Br 0.0001 0.4542 0.1377 x1  2 Nb 2.60-2.66
Br 0.0049 0.6616 0.9466 x1  1 Nb 2.97, 3 K 3.27-3.32
Br 0.0133 0.2732 0.3444 x1  1 Nb 2.82
Br 0.0154 0.6491 0.5370 x1  2 Nb 2.62-2.63
Br 0.0160 0.8624 0.3330 x1  2 Nb 2.63-2.65
Br 0.0445 0.0468 0.7214 x1  1 Nb 2.84
Br 0.3192 0.3758 0.2571 x1  2 Nb 2.60-2.62
Br 0.3196 0.5844 0.0542 x1  2 Nb 2.59-2.62
Br 0.3237 0.5660 0.6562 x1  2 Nb 2.63-2.66
Br 0.3296 0.9782 0.2423 x1  2 Nb 2.62-2.69
Br 0.3373 0.1713 0.6468 x1  2 Nb 2.64
Br 0.3433 0.9678 0.8578 x1  2 Nb 2.61-2.70
Br 0.6195 0.4996 0.1788 x1  1 Nb 2.92, 1 K 3.26
Br 0.6383 0.8882 0.3615 x1  2 Nb 2.58-2.63
Br 0.6433 0.6935 0.5727 x1  2 Nb 2.62-2.65
Br 0.6525 0.2775 0.5636 x1  1 Nb 2.92, 1 K 3.25
Br 0.6527 0.8839 0.9574 x1  1 Nb 2.89
Br 0.6551 0.0925 0.7662 x1  2 Nb 2.65-2.66

=====

This record from the Materials Project describes a geometry-optimized K2Nb3Br9 structure. The functional is PBE.

- E (MP2020): -4.887 eV/atom
- Energy of formation: -1.512 eV per atom
- Final energy: -4.54 eV/atom
- Energy above the lowest structure with this stoichiometry: 0 meV per atom

Unit cell a=10.7953 b=17.8264 c=10.3183 alpha=90.00 beta=114.62 gamma=90.00
With the nearest neighbours (Å) after each atom.
Space group C2/m (No. 12)
Asymmetric unit:
K 0.1101 0.1608 0.3322 x8  4 Br 3.25-3.37
Nb 0.1155 0.5000 0.8770 x4  5 Br 2.62-2.84
Nb 0.1280 0.4165 0.1334 x8  5 Br 2.61-2.89
Br 0.0000 0.2948 0.0000 x4  2 Nb 2.63
Br 0.0169 0.3981 0.3130 x8  2 Nb 2.61-2.62
Br 0.1842 0.0000 0.6745 x4  2 Nb 2.63
Br 0.1964 0.1973 0.6801 x8  1 Nb 2.89
Br 0.2029 0.1033 0.9873 x8  2 Nb 2.63
Br 0.2294 0.0000 0.2874 x4  1 Nb 2.84

=====

This record from the Materials Project describes a geometry-optimized K2NdBr5 structure. The functional is PBE.

- E (MP2020): -4.100 eV/atom
- Energy of formation: -2.203 eV per atom
- Final energy: -3.77 eV/atom

Unit cell a=13.6410 b=9.2958 c=8.5992 alpha=90.00 beta=90.00 gamma=90.00
With the nearest neighbours (Å) after each atom.
Space group Pnma (No. 62)
Asymmetric unit:
K 0.1710 0.0055 0.0499 x8  8 Br 3.36-3.59
Nd 0.0057 0.2500 0.5774 x4  7 Br 2.96-3.05
Br 0.0072 0.2500 0.9247 x4  1 Nd 2.99
Br 0.0774 0.5434 0.6646 x8  2 Nd 2.99-3.05
Br 0.1803 0.2500 0.3734 x4  1 Nd 2.96
Br 0.2049 0.7500 0.3354 x4  1 Nd 2.97

=====

This record from the Materials Project describes a geometry-optimized K3NdBr6 structure. The functional is PBE.

- E (MP2020): -3.866 eV/atom
- Energy of formation: -2.074 eV per atom
- Final energy: -3.55 eV/atom

Unit cell a=12.0252 b=12.0252 c=12.0252 alpha=90.00 beta=90.00 gamma=90.00
With the nearest neighbours (Å) after each atom.
Space group Fm-3m (No. 225)
Asymmetric unit:
K 0.0000 0.0000 0.0000 x4  6 Br 3.13
K 0.2500 0.2500 0.2500 x8  12 Br 4.25
Nd 0.0000 0.0000 0.5000 x4  6 Br 2.88
Br 0.0000 0.0000 0.2605 x24  1 Nd 2.88, 1 K 3.13

=====

Q: Among the records above, which one has the highest energy of formation?
A: K2NaTlBr6